Record 1
Below is a geometry-optimized GdPS structure, with properties calculated at the PBE-GGA level.

Unit cell a=5.370 b=5.435 c=16.834 alpha=90.00 beta=90.00 gamma=90.00
Fractional coordinates of all 24 atoms:
1 S 0.250 0.988 0.183
2 P 0.038 0.702 0.003
3 Gd 0.750 0.984 0.138
4 Gd 0.250 0.516 0.638
5 P 0.962 0.798 0.503
6 P 0.462 0.202 0.497
7 Gd 0.750 0.515 0.853
8 P 0.038 0.202 0.497
9 S 0.250 0.015 0.689
10 Gd 0.250 0.016 0.862
11 P 0.462 0.702 0.003
12 S 0.750 0.485 0.189
13 Gd 0.750 0.015 0.647
14 Gd 0.250 0.485 0.147
15 Gd 0.250 0.985 0.353
16 S 0.750 0.985 0.311
17 S 0.250 0.488 0.317
18 S 0.750 0.512 0.683
19 Gd 0.750 0.484 0.362
20 S 0.750 0.012 0.817
21 P 0.962 0.298 0.997
22 P 0.538 0.298 0.997
23 S 0.250 0.515 0.811
24 P 0.538 0.798 0.503

* space-group type: No. 62
* ΔH_f (0 K): -1.740 eV/atom
* calculated total energy: -9.45 eV per atom

Record 2
Below is a geometry-optimized Na3HS2O8 structure, with properties calculated at the PBE-GGA level.

Unit cell a=9.786 b=8.760 c=9.245 alpha=71.45 beta=90.00 gamma=90.00
Fractional coordinates of all 56 atoms:
1 H 0.736 0.395 0.617
2 Na 0.344 0.113 0.128
3 O 0.875 0.754 0.008
4 H 0.264 0.605 0.383
5 O 0.858 0.657 0.285
6 O 0.634 0.115 0.950
7 O 0.094 0.964 0.276
8 S 0.692 0.639 0.642
9 Na 0.004 0.241 0.225
10 Na 0.844 0.887 0.372
11 O 0.642 0.657 0.785
12 Na 0.996 0.759 0.775
13 Na 0.656 0.887 0.872
14 O 0.142 0.343 0.715
15 O 0.674 0.090 0.627
16 H 0.236 0.605 0.883
17 Na 0.500 0.000 0.500
18 O 0.375 0.246 0.492
19 O 0.157 0.346 0.374
20 Na 0.496 0.241 0.725
21 Na 0.500 0.500 0.000
22 O 0.336 0.690 0.917
23 H 0.764 0.395 0.117
24 S 0.180 0.865 0.405
25 O 0.836 0.310 0.583
26 O 0.826 0.090 0.127
27 Na 0.504 0.759 0.275
28 O 0.657 0.654 0.126
29 O 0.906 0.036 0.724
30 S 0.680 0.135 0.095
31 S 0.308 0.361 0.358
32 O 0.652 0.466 0.644
33 O 0.134 0.885 0.550
34 O 0.125 0.246 0.992
35 O 0.594 0.036 0.224
36 O 0.366 0.885 0.050
37 Na 0.000 0.000 0.000
38 O 0.326 0.910 0.373
39 O 0.343 0.346 0.874
40 S 0.192 0.361 0.858
41 S 0.320 0.865 0.905
42 O 0.664 0.310 0.083
43 Na 0.156 0.113 0.628
44 S 0.808 0.639 0.142
45 O 0.406 0.964 0.776
46 O 0.866 0.115 0.450
47 O 0.625 0.754 0.508
48 O 0.348 0.534 0.356
49 Na 0.000 0.500 0.500
50 O 0.174 0.910 0.873
51 O 0.152 0.534 0.856
52 O 0.358 0.343 0.215
53 S 0.820 0.135 0.595
54 O 0.843 0.654 0.626
55 O 0.164 0.690 0.417
56 O 0.848 0.466 0.144

* space-group type: No. 14
* ΔH_f (0 K): -2.069 eV/atom
* calculated total energy: -5.62 eV per atom

Record 3
Below is a geometry-optimized Te40Rh31 structure, with properties calculated at the PBE-GGA level.

Unit cell a=12.220 b=12.590 c=12.691 alpha=82.99 beta=112.89 gamma=111.38
Fractional coordinates of all 71 atoms:
1 Rh 0.216 0.427 0.771
2 Rh 0.203 0.518 0.124
3 Te 0.532 0.673 0.851
4 Te 0.435 0.928 0.884
5 Te 0.438 0.322 0.517
6 Rh 0.333 0.786 0.371
7 Rh 0.460 0.725 0.619
8 Te 0.279 0.750 0.149
9 Rh 0.673 0.218 0.637
10 Te 0.661 0.924 0.647
11 Te 0.568 0.082 0.113
12 Rh 0.460 0.488 0.961
13 Rh 0.527 0.017 0.478
14 Rh 0.225 0.043 0.800
15 Rh 0.500 0.157 0.878
16 Te 0.209 0.521 0.330
17 Rh 0.614 0.889 0.832
18 Te 0.727 0.249 0.860
19 Te 0.645 0.499 0.361
20 Te 0.979 0.701 0.153
21 Te 0.560 0.675 0.483
22 Te 0.421 0.600 0.104
23 Rh 0.211 0.339 0.469
24 Te 0.039 0.386 0.531
25 Te 0.464 0.336 0.142
26 Te 0.179 0.180 0.115
27 Te 0.735 0.184 0.474
28 Rh 0.941 0.498 0.109
29 Rh 0.999 0.995 0.001
30 Te 0.816 0.807 0.890
31 Te 0.785 0.476 0.669
32 Te 0.961 0.613 0.471
33 Te 0.235 0.631 0.820
34 Te 0.702 0.742 0.161
35 Rh 0.385 0.116 0.167
36 Te 0.116 0.144 0.577
37 Rh 0.812 0.581 0.244
38 Rh 0.497 0.856 0.116
39 Te 0.013 0.329 0.113
40 Rh 0.241 0.354 0.998
41 Rh 0.785 0.656 0.529
42 Te 0.058 0.851 0.675
43 Te 0.993 0.675 0.888
44 Rh 0.035 0.793 0.351
45 Te 0.982 0.023 0.775
46 Rh 0.975 0.208 0.655
47 Te 0.547 0.879 0.342
48 Rh 0.803 0.392 0.397
49 Te 0.335 0.071 0.351
50 Rh 0.772 0.962 0.194
51 Rh 0.175 0.890 0.189
52 Te 0.269 0.813 0.533
53 Rh 0.827 0.109 0.810
54 Te 0.457 0.126 0.661
55 Te 0.890 0.852 0.431
56 Te 0.351 0.492 0.636
57 Rh 0.733 0.637 0.009
58 Te 0.015 0.973 0.229
59 Te 0.788 0.023 0.997
60 Rh 0.063 0.505 0.900
61 Te 0.013 0.304 0.838
62 Te 0.218 0.972 0.003
63 Te 0.581 0.403 0.878
64 Rh 0.539 0.266 0.390
65 Te 0.939 0.148 0.326
66 Te 0.301 0.258 0.859
67 Rh 0.197 0.605 0.605
68 Rh 0.984 0.364 0.306
69 Rh 0.010 0.632 0.695
70 Rh 0.807 0.483 0.880
71 Te 0.762 0.375 0.179

* space-group type: No. 1
* total magnetization: 0.8 μB per formula unit
* ΔH_f (0 K): -0.100 eV/atom
* calculated total energy: -5.09 eV per atom

Record 4
Below is a geometry-optimized TlVCl3 structure, with properties calculated at the PBE-GGA level.

Unit cell a=7.039 b=7.039 c=6.258 alpha=90.00 beta=90.00 gamma=120.00
Fractional coordinates of all 10 atoms:
1 Cl 0.317 0.159 0.750
2 V 0.000 0.000 0.500
3 Cl 0.159 0.317 0.250
4 Tl 0.333 0.667 0.750
5 Cl 0.683 0.841 0.250
6 Tl 0.667 0.333 0.250
7 Cl 0.841 0.683 0.750
8 Cl 0.159 0.841 0.250
9 Cl 0.841 0.159 0.750
10 V 0.000 0.000 0.000

* space-group type: No. 194
* ΔH_f (0 K): -1.467 eV/atom
* calculated total energy: -4.50 eV per atom

Record 5
Below is a geometry-optimized LiPu3 structure, with properties calculated at the PBE-GGA level.

Unit cell a=4.694 b=4.694 c=4.694 alpha=60.00 beta=60.00 gamma=60.00
Fractional coordinates of all 4 atoms:
1 Li 0.750 0.750 0.750
2 Pu 0.000 0.000 0.000
3 Pu 0.500 0.500 0.500
4 Pu 0.250 0.250 0.250

* space-group type: No. 225
* total magnetization: 2.8 μB per formula unit
* ΔH_f (0 K): 0.793 eV/atom
* calculated total energy: -10.39 eV per atom

Record 6
Below is a geometry-optimized LuMn6Al6 structure, with properties calculated at the PBE-GGA level.

Unit cell a=6.608 b=6.608 c=6.608 alpha=136.24 beta=99.25 gamma=96.72
Fractional coordinates of all 13 atoms:
1 Lu 0.000 0.000 0.000
2 Mn 0.500 0.500 0.500
3 Mn 0.765 0.500 0.265
4 Mn 0.500 0.000 0.000
5 Al 0.806 0.306 0.500
6 Al 0.663 0.000 0.663
7 Al 0.337 0.000 0.337
8 Mn 0.000 0.500 0.000
9 Mn 0.235 0.500 0.735
10 Al 0.346 0.346 0.000
11 Al 0.194 0.694 0.500
12 Al 0.654 0.654 0.000
13 Mn 0.000 0.000 0.500

* space-group type: No. 71
* total magnetization: 7.0 μB per formula unit
* ΔH_f (0 K): -0.250 eV/atom
* calculated total energy: -6.56 eV per atom